DFT (GGA+U) results for an optimized crystal structure of Li5Mn6B6O18.

Lattice parameters (Å, degrees): 5.943 8.291 9.068 112.19 102.76 102.46
Sites, in units of the cell vectors:
1 Li 0.000 0.000 0.000
2 Li 0.122 0.785 0.459
3 Li 0.327 0.340 0.668
4 Li 0.476 0.116 0.124
5 Li 0.813 0.455 0.789
6 Mn 0.195 0.758 0.112
7 Mn 0.301 0.378 0.031
8 Mn 0.528 0.096 0.786
9 Mn 0.625 0.705 0.667
10 Mn 0.847 0.416 0.435
11 Mn 0.932 0.015 0.344
12 B 0.186 0.763 0.776
13 B 0.290 0.343 0.346
14 B 0.506 0.096 0.449
15 B 0.628 0.691 0.002
16 B 0.857 0.431 0.119
17 B 0.971 0.036 0.690
18 O 0.138 0.311 0.439
19 O 0.186 0.188 0.773
20 O 0.221 0.239 0.175
21 O 0.256 0.876 0.947
22 O 0.285 0.951 0.366
23 O 0.320 0.810 0.680
24 O 0.485 0.650 0.093
25 O 0.524 0.475 0.438
26 O 0.563 0.584 0.830
27 O 0.584 0.209 0.619
28 O 0.637 0.285 0.044
29 O 0.643 0.134 0.350
30 O 0.835 0.989 0.786
31 O 0.848 0.840 0.089
32 O 0.895 0.925 0.521
33 O 0.955 0.534 0.292
34 O 0.974 0.609 0.693
35 O 0.979 0.475 0.017

## Properties
magnetization: 29.0 μB/f.u.
volume: 10.88 A^3/atom
ΔE to the lowest computed polymorph: 5 meV per atom